No. 1
Here is an optimized crystal structure of SrLiTa2O6F from the Materials Project. Energies are from GGA-PBE.

Values from the calculation:
crystal system	orthorhombic

abc: 7.462 7.462 7.462
angles: 120.36 119.43 90.18
Fractional positions:
Sr1 0.000 0.500 0.500
Sr2 0.500 0.500 0.000
Li1 0.500 0.000 0.000
Li2 0.500 0.500 0.500
Ta1 0.000 0.000 0.500
Ta2 0.000 0.000 0.000
Ta3 0.000 0.500 0.000
Ta4 0.500 0.000 0.500
O1 0.064 0.931 0.745
O2 0.071 0.321 0.750
O3 0.064 0.318 0.133
O4 0.685 0.931 0.367
O5 0.936 0.069 0.255
O6 0.689 0.939 0.750
O7 0.929 0.679 0.250
O8 0.685 0.318 0.755
O9 0.936 0.682 0.867
O10 0.315 0.069 0.633
O11 0.315 0.682 0.245
O12 0.311 0.061 0.250
F1 0.601 0.351 0.250
F2 0.399 0.649 0.750



No. 2
Here is an optimized crystal structure of TbH8C21O10F15 from the Materials Project. Energies are from GGA-PBE.

Values from the calculation:
crystal system	triclinic

abc: 7.831 9.792 17.619
angles: 92.47 97.49 100.45
Fractional positions:
Tb1 0.059 0.715 0.060
Tb2 0.941 0.285 0.940
H1 0.693 0.655 0.083
H2 0.307 0.345 0.917
H3 0.041 0.005 0.909
H4 0.959 0.995 0.091
H5 0.323 0.327 0.007
H6 0.677 0.673 0.993
H7 0.209 0.090 0.963
H8 0.791 0.910 0.037
H9 0.426 0.704 0.162
H10 0.574 0.296 0.838
H11 0.274 0.708 0.212
H12 0.726 0.292 0.788
H13 0.692 0.418 0.023
H14 0.308 0.582 0.977
H15 0.612 0.254 0.023
H16 0.388 0.746 0.977
C1 0.429 0.058 0.169
C2 0.571 0.942 0.831
C3 0.240 0.430 0.353
C4 0.760 0.570 0.647
C5 0.558 0.087 0.327
C6 0.442 0.913 0.673
C7 0.300 0.394 0.223
C8 0.700 0.606 0.777
C9 0.180 0.287 0.791
C10 0.820 0.713 0.209
C11 0.040 0.796 0.419
C12 0.960 0.204 0.581
C13 0.012 0.767 0.339
C14 0.988 0.233 0.661
C15 0.294 0.247 0.663
C16 0.706 0.753 0.337
C17 0.317 0.051 0.224
C18 0.683 0.949 0.776
C19 0.359 0.418 0.302
C20 0.641 0.582 0.698
C21 0.061 0.362 0.109
C22 0.939 0.638 0.891
C23 0.378 0.068 0.302
C24 0.622 0.932 0.698
C25 0.609 0.081 0.195
C26 0.391 0.919 0.805
C27 0.270 0.218 0.583
C28 0.730 0.782 0.417
C29 0.673 0.092 0.273
C30 0.327 0.908 0.727
C31 0.123 0.383 0.194
C32 0.877 0.617 0.806
C33 0.102 0.196 0.542
C34 0.898 0.804 0.458
C35 0.007 0.396 0.246
C36 0.993 0.604 0.754
C37 0.062 0.418 0.325
C38 0.938 0.582 0.675
C39 0.358 0.040 0.083
C40 0.642 0.960 0.917
C41 0.154 0.255 0.705
C42 0.846 0.745 0.295
O1 0.299 0.700 0.160
O2 0.701 0.300 0.840
O3 0.733 0.623 0.033
O4 0.267 0.377 0.967
O5 0.408 0.136 0.041
O6 0.592 0.864 0.959
O7 0.040 0.241 0.076
O8 0.960 0.759 0.924
O9 0.034 0.467 0.072
O10 0.966 0.533 0.928
O11 0.249 0.929 0.061
O12 0.751 0.071 0.939
O13 0.100 0.098 0.929
O14 0.900 0.902 0.071
O15 0.695 0.325 0.001
O16 0.305 0.675 0.999
O17 0.043 0.301 0.821
O18 0.957 0.699 0.179
O19 0.332 0.298 0.829
O20 0.668 0.702 0.171
F1 0.265 0.067 0.354
F2 0.735 0.933 0.646
F3 0.161 0.763 0.308
F4 0.839 0.237 0.692
F5 0.409 0.213 0.547
F6 0.591 0.787 0.453
F7 0.141 0.031 0.203
F8 0.859 0.969 0.797
F9 0.296 0.453 0.428
F10 0.704 0.547 0.572
F11 0.202 0.816 0.458
F12 0.798 0.184 0.542
F13 0.418 0.386 0.175
F14 0.582 0.614 0.825
F15 0.531 0.429 0.329
F16 0.469 0.571 0.671
F17 0.847 0.109 0.297
F18 0.153 0.891 0.703
F19 0.834 0.386 0.220
F20 0.166 0.614 0.780
F21 0.076 0.166 0.466
F22 0.924 0.834 0.534
F23 0.462 0.267 0.697
F24 0.538 0.733 0.303
F25 0.054 0.571 0.626
F26 0.946 0.429 0.374
F27 0.726 0.091 0.145
F28 0.274 0.909 0.855
F29 0.618 0.101 0.403
F30 0.382 0.899 0.597



No. 3
Here is an optimized crystal structure of Cu2S from the Materials Project. Energies are from GGA-PBE.

Values from the calculation:
crystal system	cubic

abc: 3.927 3.927 3.927
angles: 60.00 60.00 60.00
Fractional positions:
Cu1 0.250 0.250 0.250
Cu2 0.750 0.750 0.750
S1 0.000 0.000 0.000



No. 4
Here is an optimized crystal structure of Si4Rh3 from the Materials Project. Energies are from GGA-PBE.

Values from the calculation:
crystal system	orthorhombic

abc: 3.652 5.865 18.956
angles: 90.00 90.00 90.00
Fractional positions:
Si1 0.250 0.387 0.143
Si2 0.750 0.613 0.857
Si3 0.750 0.887 0.357
Si4 0.250 0.113 0.643
Si5 0.750 0.220 0.232
Si6 0.250 0.780 0.768
Si7 0.250 0.720 0.268
Si8 0.750 0.280 0.732
Si9 0.250 0.431 0.410
Si10 0.750 0.569 0.590
Si11 0.750 0.931 0.090
Si12 0.250 0.069 0.910
Si13 0.750 0.479 0.049
Si14 0.250 0.521 0.951
Si15 0.250 0.979 0.451
Si16 0.750 0.021 0.549
Rh1 0.250 0.188 0.032
Rh2 0.750 0.812 0.968
Rh3 0.750 0.688 0.468
Rh4 0.250 0.312 0.532
Rh5 0.250 0.003 0.176
Rh6 0.750 0.997 0.824
Rh7 0.750 0.503 0.324
Rh8 0.250 0.497 0.676
Rh9 0.250 0.114 0.325
Rh10 0.750 0.886 0.675
Rh11 0.750 0.614 0.175
Rh12 0.250 0.386 0.825



No. 5
Here is an optimized crystal structure of LaTaN3 from the Materials Project. Energies are from GGA-PBE.

Values from the calculation:
crystal system	monoclinic

abc: 5.763 7.116 8.333
angles: 54.34 90.00 90.00
Fractional positions:
La1 0.244 0.761 0.623
La2 0.756 0.239 0.377
La3 0.256 0.761 0.123
La4 0.744 0.239 0.877
Ta1 0.726 0.772 0.859
Ta2 0.226 0.228 0.641
Ta3 0.274 0.228 0.141
Ta4 0.774 0.772 0.359
N1 0.234 0.269 0.363
N2 0.266 0.269 0.863
N3 0.537 0.062 0.709
N4 0.037 0.938 0.791
N5 0.463 0.938 0.291
N6 0.766 0.731 0.637
N7 0.901 0.421 0.538
N8 0.099 0.579 0.462
N9 0.734 0.731 0.137
N10 0.963 0.062 0.209
N11 0.599 0.421 0.038
N12 0.401 0.579 0.962



No. 6
Here is an optimized crystal structure of GeSb3 from the Materials Project. Energies are from GGA-PBE.

Values from the calculation:
crystal system	hexagonal

abc: 6.700 6.700 5.287
angles: 90.00 90.00 120.00
Fractional positions:
Ge1 0.333 0.667 0.750
Ge2 0.667 0.333 0.250
Sb1 0.174 0.348 0.250
Sb2 0.652 0.826 0.250
Sb3 0.174 0.826 0.250
Sb4 0.826 0.652 0.750
Sb5 0.348 0.174 0.750
Sb6 0.826 0.174 0.750



No. 7
Here is an optimized crystal structure of ErTe2 from the Materials Project. Energies are from GGA-PBE.

Values from the calculation:
crystal system	tetragonal

abc: 4.425 4.425 8.847
angles: 90.00 90.00 90.00
Fractional positions:
Er1 0.000 0.500 0.729
Er2 0.500 0.000 0.271
Te1 0.000 0.500 0.373
Te2 0.500 0.000 0.627
Te3 0.000 0.000 0.000
Te4 0.500 0.500 0.000



no.,E (eV/f.u.)
1,-91.9
2,-357.9
3,-12.5
4,-48.7
5,-47.6
6,-15.8
7,-14.1